A relaxed U4Co2S2O27 crystal, computed with GGA+U.

Output
The formation energy from the elements comes out at -1984 meV/atom. As for the calculated total energy: -248.874 eV per formula unit.

Cell lengths 8.3791, 8.3791, 17.8418 Å; angles 97.58, 97.58, 116.96 degrees
Last column: nearest neighbours and their distance in Å.
Atoms (fractional coordinates):
U: 0.4364 0.9019 0.8341  2 O 1.80-1.88
U: 0.5636 0.0981 0.1659  2 O 1.80-1.88
U: 0.0981 0.5636 0.1659  2 O 1.80-1.88
U: 0.9019 0.4364 0.8341  2 O 1.80-1.88
U: 0.0638 0.6130 0.6649  2 O 1.80-1.85
U: 0.9362 0.3870 0.3351  2 O 1.80-1.85
U: 0.3870 0.9362 0.3351  2 O 1.80-1.85
U: 0.6130 0.0638 0.6649  2 O 1.80-1.85
Co: 0.1945 0.1945 0.8886  3 O 1.68-1.74
Co: 0.8055 0.8055 0.1114  3 O 1.68-1.74
Co: 0.6954 0.6954 0.3630  4 O 1.75-1.78
Co: 0.3046 0.3046 0.6370  4 O 1.75-1.78
S: 0.2462 0.7538 0.0000  4 O 1.49
S: 0.7538 0.2462 0.0000  4 O 1.49
S: 0.7467 0.2533 0.5000  4 O 1.49
S: 0.2533 0.7467 0.5000  4 O 1.49
O: 0.1649 0.4656 0.6341  1 U 1.85
O: 0.8351 0.5344 0.3659  1 U 1.85
O: 0.5344 0.8351 0.3659  1 U 1.85
O: 0.4656 0.1649 0.6341  1 U 1.85
O: 0.9549 0.7522 0.6828  1 U 1.80
O: 0.0451 0.2478 0.3172  1 U 1.80
O: 0.2478 0.0451 0.3172  1 U 1.80
O: 0.7522 0.9549 0.6828  1 U 1.80
O: 0.4890 0.4890 0.3204  1 Co 1.78
O: 0.5110 0.5110 0.6796  1 Co 1.78
O: 0.1003 0.1003 0.5977  1 Co 1.75
O: 0.8997 0.8997 0.4023  1 Co 1.75
O: 0.7109 0.7109 0.4635  1 Co 1.76
O: 0.2891 0.2891 0.5365  1 Co 1.76
O: 0.1814 0.1814 0.9811  1 Co 1.68
O: 0.8186 0.8186 0.0189  1 Co 1.68
O: 0.3368 0.0577 0.8601  1 U 1.88, 1 Co 2.06
O: 0.6632 0.9423 0.1399  1 U 1.88, 1 Co 2.06
O: 0.9423 0.6632 0.1399  1 U 1.88, 1 Co 2.06
O: 0.0577 0.3368 0.8601  1 U 1.88, 1 Co 2.06
O: 0.5391 0.7564 0.8177  1 U 1.80
O: 0.4609 0.2436 0.1823  1 U 1.80
O: 0.2436 0.4609 0.1823  1 U 1.80
O: 0.7564 0.5391 0.8177  1 U 1.80
O: 0.1261 0.7424 0.5516  1 S 1.49
O: 0.8739 0.2576 0.4484  1 S 1.49
O: 0.2576 0.8739 0.4484  1 S 1.49
O: 0.7424 0.1261 0.5516  1 S 1.49
O: 0.8100 0.4374 0.5493  1 S 1.49
O: 0.1900 0.5626 0.4507  1 S 1.49
O: 0.5626 0.1900 0.4507  1 S 1.49
O: 0.4374 0.8100 0.5493  1 S 1.49
O: 0.3563 0.8562 0.7070  3 U 2.21-2.37
O: 0.6437 0.1438 0.2930  3 U 2.21-2.37
O: 0.1438 0.6437 0.2930  3 U 2.21-2.37
O: 0.8562 0.3563 0.7070  3 U 2.21-2.37
O: 0.9972 0.9972 0.8429  1 Co 1.72
O: 0.0028 0.0028 0.1571  1 Co 1.72
O: 0.1461 0.6569 0.7924  3 U 2.22-2.34
O: 0.8539 0.3431 0.2076  3 U 2.22-2.34
O: 0.3431 0.8539 0.2076  3 U 2.22-2.34
O: 0.6569 0.1461 0.7924  3 U 2.22-2.34
O: 0.3197 0.3197 0.7374  1 Co 1.76
O: 0.6803 0.6803 0.2626  1 Co 1.76
O: 0.6933 0.0650 0.9484  1 S 1.49
O: 0.3067 0.9350 0.0516  1 S 1.49
O: 0.9350 0.3067 0.0516  1 S 1.49
O: 0.0650 0.6933 0.9484  1 S 1.49
O: 0.3786 0.7664 0.9501  1 S 1.49
O: 0.6214 0.2336 0.0499  1 S 1.49
O: 0.2336 0.6214 0.0499  1 S 1.49
O: 0.7664 0.3786 0.9501  1 S 1.49
O: 0.3987 0.3987 0.9211  1 Co 1.74
O: 0.6013 0.6013 0.0789  1 Co 1.74

=====

A relaxed Co5SbO8 crystal, computed with GGA+U.

Output
The energy above the lowest structure with this stoichiometry comes out at 17 meV/atom. The formation energy from the elements comes out at -1479 meV/atom. As for the calculated total energy: -86.268 eV per formula unit.

Cell lengths 6.0018, 10.4714, 6.1666 Å; angles 73.28, 60.90, 89.93 degrees
Last column: nearest neighbours and their distance in Å.
Atoms (fractional coordinates):
Co: 0.7062 0.5681 0.0969  4 O 1.99-2.02
Co: 0.7945 0.9317 0.9040  4 O 1.98-2.03
Co: 0.7511 0.2500 0.4990  6 O 2.09-2.14
Co: 0.0020 0.4991 0.5027  6 O 2.08-2.15
Co: 0.2494 0.2503 0.5015  6 O 1.91-2.13
Co: 0.1989 0.0683 0.0942  4 O 1.99-2.02
Co: 0.3000 0.4318 0.9053  4 O 1.98-2.03
Co: 0.2486 0.7506 0.5015  6 O 1.91-2.13
Co: 0.4964 0.9989 0.5003  6 O 2.08-2.15
Co: 0.7504 0.7505 0.4989  6 O 2.09-2.14
Sb: 0.7480 0.2496 0.0009  6 O 2.01-2.03
Sb: 0.2511 0.7497 0.0007  6 O 2.01-2.03
O: 0.3783 0.1366 0.7035  4 Co 1.91-2.10
O: 0.9178 0.6370 0.7058  4 Co 1.91-2.10
O: 0.1212 0.3634 0.2931  4 Co 1.93-2.09
O: 0.5858 0.8633 0.2918  4 Co 1.93-2.09
O: 0.3933 0.1356 0.2407  3 Co 2.02-2.15, 1 Sb 2.02
O: 0.9005 0.6328 0.2448  3 Co 2.01-2.13, 1 Sb 2.01
O: 0.8553 0.1318 0.2439  3 Co 2.01-2.14, 1 Sb 2.01
O: 0.3648 0.6352 0.2423  3 Co 2.02-2.15, 1 Sb 2.02
O: 0.6287 0.3635 0.2408  3 Co 2.02-2.13, 1 Sb 2.03
O: 0.1319 0.8638 0.2398  3 Co 2.02-2.14, 1 Sb 2.02
O: 0.6428 0.3679 0.7562  3 Co 2.01-2.14, 1 Sb 2.01
O: 0.1373 0.8653 0.7579  3 Co 2.02-2.13, 1 Sb 2.03
O: 0.8713 0.1367 0.7593  1 Sb 2.03, 3 Co 2.03-2.13
O: 0.3688 0.6367 0.7595  1 Sb 2.03, 3 Co 2.03-2.14
O: 0.1044 0.3645 0.7592  3 Co 2.02-2.13, 1 Sb 2.03
O: 0.6011 0.8672 0.7556  3 Co 2.01-2.13, 1 Sb 2.01

=====

A relaxed Co5SbO8 crystal, computed with GGA+U.

Output
The energy above the lowest structure with this stoichiometry comes out at 11 meV/atom. The formation energy from the elements comes out at -1485 meV/atom. As for the calculated total energy: -86.357 eV per formula unit.

Cell lengths 6.0210, 6.0141, 10.7547 Å; angles 73.71, 89.76, 59.86 degrees
Last column: nearest neighbours and their distance in Å.
Atoms (fractional coordinates):
Co: 0.6864 0.1327 0.5472  4 O 2.00-2.02
Co: 0.8136 0.8673 0.9528  4 O 2.00-2.02
Co: 0.2500 0.5000 0.7500  4 O 1.90-2.12
Co: 0.7500 0.0000 0.2500  6 O 1.93-2.13
Co: 0.2500 0.5000 0.2500  6 O 2.08-2.14
Co: 0.1875 0.1335 0.0472  4 O 2.00-2.01
Co: 0.3125 0.8665 0.4528  4 O 2.00-2.01
Co: 0.7500 0.5000 0.2500  6 O 2.05-2.16
Co: 0.2500 0.0000 0.7500  6 O 2.07-2.14
Co: 0.7500 0.5000 0.7500  6 O 2.09-2.12
Sb: 0.5011 0.5005 0.9999  6 O 2.01-2.03
Sb: 0.9989 0.4995 0.5001  6 O 2.01-2.03
O: 0.6306 0.2456 0.3512  4 Co 1.93-2.08
O: 0.1311 0.2773 0.8510  4 Co 1.90-2.09
O: 0.8694 0.7544 0.1488  4 Co 1.93-2.08
O: 0.3689 0.7227 0.6490  4 Co 1.90-2.09
O: 0.3920 0.2610 0.1219  3 Co 2.01-2.14, 1 Sb 2.03
O: 0.8867 0.2656 0.6212  1 Sb 2.01, 3 Co 2.01-2.13
O: 0.8510 0.2612 0.1195  3 Co 2.01-2.16, 1 Sb 2.03
O: 0.3488 0.2666 0.6190  3 Co 2.02-2.14, 1 Sb 2.02
O: 0.3879 0.7260 0.1207  3 Co 2.01-2.13, 1 Sb 2.01
O: 0.8874 0.7255 0.6218  3 Co 2.01-2.12, 1 Sb 2.02
O: 0.6490 0.7388 0.3805  3 Co 2.01-2.16, 1 Sb 2.03
O: 0.1512 0.7334 0.8810  3 Co 2.02-2.14, 1 Sb 2.02
O: 0.1121 0.2740 0.3793  3 Co 2.01-2.13, 1 Sb 2.01
O: 0.6126 0.2745 0.8782  3 Co 2.01-2.12, 1 Sb 2.02
O: 0.1080 0.7390 0.3781  3 Co 2.01-2.14, 1 Sb 2.03
O: 0.6133 0.7344 0.8788  1 Sb 2.01, 3 Co 2.01-2.13

=====

A relaxed Co4SbO8 crystal, computed with GGA+U.

Output
The formation energy from the elements comes out at -1352 meV/atom. As for the calculated total energy: -77.675 eV per formula unit.

Cell lengths 5.9145, 5.9145, 5.8322 Å; angles 61.20, 61.20, 60.80 degrees
Last column: nearest neighbours and their distance in Å.
Atoms (fractional coordinates):
Co: 0.3820 0.3820 0.8888  4 O 1.96-1.98
Co: 0.6180 0.6180 0.1112  4 O 1.96-1.98
Co: 0.0000 0.5000 0.5000  6 O 1.90-2.07
Co: 0.5000 0.0000 0.5000  6 O 1.90-2.07
Sb: 0.0000 0.0000 0.0000  6 O 2.00-2.05
O: 0.2560 0.2560 0.2939  3 Co 1.90-1.96
O: 0.2416 0.2416 0.7542  3 Co 1.98-2.07, 1 Sb 2.05
O: 0.2625 0.7830 0.7406  2 Co 1.93-1.96, 1 Sb 2.00
O: 0.7830 0.2625 0.7406  2 Co 1.93-1.96, 1 Sb 2.00
O: 0.7440 0.7440 0.7061  3 Co 1.90-1.96
O: 0.7584 0.7584 0.2458  3 Co 1.98-2.07, 1 Sb 2.05
O: 0.7375 0.2170 0.2594  2 Co 1.93-1.96, 1 Sb 2.00
O: 0.2170 0.7375 0.2594  2 Co 1.93-1.96, 1 Sb 2.00

=====

A relaxed Co2SbO6 crystal, computed with GGA+U.

Output
The formation energy from the elements comes out at -1355 meV/atom. As for the calculated total energy: -52.832 eV per formula unit.

Cell lengths 5.1024, 5.1024, 9.7876 Å; angles 90.00, 90.00, 120.15 degrees
Last column: nearest neighbours and their distance in Å.
Atoms (fractional coordinates):
Co: 0.8334 0.1666 0.5000  6 O 1.92-1.93
Co: 0.3334 0.6666 0.0000  6 O 1.92-1.93
Co: 0.6666 0.3334 0.0000  6 O 1.92-1.93
Co: 0.1666 0.8334 0.5000  6 O 1.92-1.93
Sb: 0.5000 0.5000 0.5000  6 O 2.03
Sb: 0.0000 0.0000 0.0000  6 O 2.03
O: 0.6507 0.6507 0.0998  2 Co 1.93, 1 Sb 2.03
O: 0.8493 0.8493 0.5998  2 Co 1.93, 1 Sb 2.03
O: 0.1507 0.1507 0.4002  2 Co 1.93, 1 Sb 2.03
O: 0.5005 0.8493 0.4012  2 Co 1.92-1.93, 1 Sb 2.03
O: 0.3493 0.3493 0.9002  2 Co 1.93, 1 Sb 2.03
O: 0.6507 0.9995 0.9012  2 Co 1.92-1.93, 1 Sb 2.03
O: 0.0005 0.3493 0.0988  2 Co 1.92-1.93, 1 Sb 2.03
O: 0.1507 0.4995 0.5988  2 Co 1.92-1.93, 1 Sb 2.03
O: 0.4995 0.1507 0.5988  2 Co 1.92-1.93, 1 Sb 2.03
O: 0.8493 0.5005 0.4012  2 Co 1.92-1.93, 1 Sb 2.03
O: 0.9995 0.6507 0.9012  2 Co 1.92-1.93, 1 Sb 2.03
O: 0.3493 0.0005 0.0988  2 Co 1.92-1.93, 1 Sb 2.03

=====

A relaxed Co5SbO8 crystal, computed with GGA+U.

Output
The energy above the lowest structure with this stoichiometry comes out at 5 meV/atom. The formation energy from the elements comes out at -1491 meV/atom. As for the calculated total energy: -86.435 eV per formula unit.

Cell lengths 5.9894, 6.0095, 10.7612 Å; angles 73.33, 89.85, 60.05 degrees
Last column: nearest neighbours and their distance in Å.
Atoms (fractional coordinates):
Co: 0.2500 0.5000 0.7500  6 O 1.99-2.15
Co: 0.7500 0.0000 0.2500  6 O 2.07-2.14
Co: 0.2500 0.0000 0.7500  6 O 2.04-2.13
Co: 0.2500 0.5000 0.2500  6 O 2.07-2.14
Co: 0.7500 0.5000 0.7500  6 O 2.04-2.13
Co: 0.1882 0.1352 0.0469  4 O 1.97-2.02
Co: 0.6857 0.1377 0.5464  4 O 2.00-2.01
Co: 0.3118 0.8648 0.4531  4 O 1.97-2.02
Co: 0.8143 0.8623 0.9536  4 O 2.00-2.01
Co: 0.7500 0.5000 0.2500  4 O 1.90-2.07
Sb: 0.5030 0.4985 0.0001  6 O 2.01-2.03
Sb: 0.9970 0.5015 0.4999  6 O 2.01-2.03
O: 0.6310 0.2764 0.3501  4 Co 1.90-2.07
O: 0.1223 0.2653 0.8531  4 Co 1.97-2.04
O: 0.8690 0.7236 0.1499  4 Co 1.90-2.07
O: 0.3777 0.7347 0.6469  4 Co 1.97-2.04
O: 0.3892 0.2647 0.1222  3 Co 2.00-2.13, 1 Sb 2.01
O: 0.8868 0.2645 0.6230  3 Co 2.00-2.12, 1 Sb 2.02
O: 0.8534 0.2657 0.1198  3 Co 2.01-2.14, 1 Sb 2.02
O: 0.3494 0.2654 0.6188  3 Co 2.01-2.15, 1 Sb 2.02
O: 0.3964 0.7240 0.1226  3 Co 2.02-2.14, 1 Sb 2.03
O: 0.8862 0.7291 0.6202  3 Co 2.01-2.13, 1 Sb 2.02
O: 0.6466 0.7343 0.3802  3 Co 2.01-2.14, 1 Sb 2.02
O: 0.1506 0.7346 0.8812  3 Co 2.01-2.15, 1 Sb 2.02
O: 0.1036 0.2760 0.3774  3 Co 2.02-2.14, 1 Sb 2.03
O: 0.6138 0.2709 0.8798  3 Co 2.01-2.13, 1 Sb 2.02
O: 0.1108 0.7353 0.3778  3 Co 2.00-2.13, 1 Sb 2.01
O: 0.6132 0.7355 0.8770  3 Co 2.00-2.12, 1 Sb 2.02